# Zr2Si7Ni3 PBE relaxed
# **E_form**: -0.414 eV per atom
data_Zr2Si7Ni3
_chemical_formula_sum 'Zr4 Si14 Ni6'
_space_group_name_H-M_alt 'I 4 m m'
_space_group_IT_number 107
_space_group_name_Hall 'I 4 -2'
_cell_length_a 3.912
_cell_length_b 3.912
_cell_length_c 23.275
_cell_angle_alpha 90.00
_cell_angle_beta 90.00
_cell_angle_gamma 90.00
loop_
_atom_site_label
_atom_site_fract_x
_atom_site_fract_y
_atom_site_fract_z
_atom_site_occupancy
Zr1 0.000 0.000 0.000 1
Zr2 0.000 0.000 0.292 1
Si1 0.000 0.000 0.437 1
Si2 0.000 0.000 0.536 1
Si3 0.000 0.000 0.838 1
Si4 0.000 0.500 0.094 1
Si5 0.000 0.500 0.196 1
Ni1 0.000 0.000 0.741 1
Ni2 0.000 0.500 0.390 1



# Zr2Si4Ni3 PBE relaxed
# **E_form**: -0.793 eV per atom
data_Zr2Si4Ni3
_chemical_formula_sum 'Zr8 Si16 Ni12'
_space_group_name_H-M_alt 'C m c e'
_space_group_IT_number 64
_space_group_name_Hall '-C 2ac 2'
_cell_length_a 5.194
_cell_length_b 13.771
_cell_length_c 6.904
_cell_angle_alpha 90.00
_cell_angle_beta 90.00
_cell_angle_gamma 90.00
loop_
_atom_site_label
_atom_site_fract_x
_atom_site_fract_y
_atom_site_fract_z
_atom_site_occupancy
Zr1 0.000 0.104 0.098 1
Si1 0.000 0.182 0.477 1
Si2 0.250 0.062 0.750 1
Ni1 0.000 0.000 0.500 1
Ni2 0.250 0.227 0.750 1



# Sm2Ni17 PBE relaxed
# **E_form**: -0.178 eV per atom
data_Sm2Ni17
_chemical_formula_sum 'Sm4 Ni34'
_space_group_name_H-M_alt 'P 63/m m c'
_space_group_IT_number 194
_space_group_name_Hall '-P 6c 2c'
_cell_length_a 8.3081
_cell_length_b 8.3081
_cell_length_c 8.0420
_cell_angle_alpha 90.00
_cell_angle_beta 90.00
_cell_angle_gamma 120.00
loop_
_atom_site_label
_atom_site_fract_x
_atom_site_fract_y
_atom_site_fract_z
_atom_site_occupancy
Sm1 0.0000 0.0000 0.2500 1
Sm2 0.3333 0.6667 0.2500 1
Ni1 0.0000 0.5000 0.0000 1
Ni2 0.0415 0.3699 0.7500 1
Ni3 0.1661 0.3322 0.0166 1
Ni4 0.3333 0.6667 0.6041 1



# SmNi PBE relaxed
# **E_form**: -0.368 eV per atom
data_SmNi
_chemical_formula_sum 'Sm4 Ni4'
_space_group_name_H-M_alt 'C m c m'
_space_group_IT_number 63
_space_group_name_Hall '-C 2c 2'
_cell_length_a 3.757
_cell_length_b 10.430
_cell_length_c 4.302
_cell_angle_alpha 90.00
_cell_angle_beta 90.00
_cell_angle_gamma 90.00
loop_
_atom_site_label
_atom_site_fract_x
_atom_site_fract_y
_atom_site_fract_z
_atom_site_occupancy
Sm1 0.000 0.139 0.250 1
Ni1 0.000 0.427 0.250 1



# SmNi3Sn2 PBE relaxed
# **E_form**: -0.453 eV per atom
data_SmNi3Sn2
_chemical_formula_sum 'Sm3 Ni9 Sn6'
_space_group_name_H-M_alt 'P -6 2 m'
_space_group_IT_number 189
_space_group_name_Hall 'P -6 -2'
_cell_length_a 9.3362
_cell_length_b 9.3362
_cell_length_c 4.2652
_cell_angle_alpha 90.00
_cell_angle_beta 90.00
_cell_angle_gamma 120.00
loop_
_atom_site_label
_atom_site_fract_x
_atom_site_fract_y
_atom_site_fract_z
_atom_site_occupancy
Sm1 0.0000 0.0000 0.0000 1
Sm2 0.3333 0.6667 0.5000 1
Ni1 0.0000 0.7054 0.5000 1
Ni2 0.1665 0.3724 0.0000 1
Sn1 0.0000 0.2559 0.5000 1
Sn2 0.0000 0.5295 0.0000 1



# Sm9Ni24Sn49 PBE relaxed
# **E_form**: -0.350 eV per atom
data_Sm9Ni24Sn49
_chemical_formula_sum 'Sm18 Ni48 Sn98'
_space_group_name_H-M_alt 'C 1 2/m 1'
_space_group_IT_number 12
_cell_length_a 16.835
_cell_length_b 11.929
_cell_length_c 17.006
_cell_angle_alpha 90.00
_cell_angle_beta 90.15
_cell_angle_gamma 90.00
loop_
_space_group_symop_operation_xyz
'x,y,z'
'-x,-y,-z'
'-x,y,-z'
'x,-y,z'
'x+1/2,y+1/2,z'
'-x+1/2,-y+1/2,-z'
'-x+1/2,y+1/2,-z'
'x+1/2,-y+1/2,z'
loop_
_atom_site_label
_atom_site_fract_x
_atom_site_fract_y
_atom_site_fract_z
_atom_site_occupancy
Sm1 0.000 0.000 0.000 1
Sm2 0.000 0.250 0.250 1
Sm3 0.250 0.250 0.000 1
Sm4 0.250 0.250 0.500 1
Ni1 0.079 0.322 0.079 1
Ni2 0.080 0.177 0.580 1
Ni3 0.081 0.500 0.741 1
Ni4 0.082 0.000 0.240 1
Ni5 0.161 0.159 0.839 1
Ni6 0.161 0.340 0.339 1
Ni7 0.240 0.000 0.081 1
Ni8 0.241 0.500 0.581 1
Sn1 0.000 0.500 0.500 1
Sn2 0.002 0.000 0.369 1
Sn3 0.002 0.500 0.869 1
Sn4 0.060 0.500 0.313 1
Sn5 0.062 0.000 0.807 1
Sn6 0.063 0.254 0.436 1
Sn7 0.065 0.253 0.935 1
Sn8 0.123 0.373 0.623 1
Sn9 0.128 0.131 0.128 1
Sn10 0.129 0.500 0.997 1
Sn11 0.130 0.000 0.498 1
Sn12 0.184 0.372 0.184 1
Sn13 0.185 0.128 0.684 1
Sn14 0.185 0.500 0.441 1
Sn15 0.186 0.131 0.314 1
Sn16 0.186 0.368 0.813 1
Sn17 0.193 0.000 0.939 1



# SmNi3Sn2 PBE relaxed
# **E_form**: -0.345 eV per atom
data_SmNi3Sn2
_chemical_formula_sum 'Sm3 Ni9 Sn6'
_space_group_name_H-M_alt 'P 6/m m m'
_space_group_IT_number 191
_space_group_name_Hall '-P 6 2'
_cell_length_a 9.5825
_cell_length_b 9.5825
_cell_length_c 4.1024
_cell_angle_alpha 90.00
_cell_angle_beta 90.00
_cell_angle_gamma 120.00
loop_
_atom_site_label
_atom_site_fract_x
_atom_site_fract_y
_atom_site_fract_z
_atom_site_occupancy
Sm1 0.0000 0.0000 0.0000 1
Sm2 0.3333 0.6667 0.5000 1
Ni1 0.0000 0.5000 0.0000 1
Ni2 0.1851 0.3702 0.0000 1
Sn1 0.0000 0.3226 0.5000 1



# SmZnNi PBE relaxed
# **E_form**: -0.416 eV per atom
data_SmZnNi
_chemical_formula_sum 'Sm3 Zn3 Ni3'
_space_group_name_H-M_alt 'P -6 2 m'
_space_group_IT_number 189
_space_group_name_Hall 'P -6 -2'
_cell_length_a 7.1384
_cell_length_b 7.1384
_cell_length_c 3.8036
_cell_angle_alpha 90.00
_cell_angle_beta 90.00
_cell_angle_gamma 120.00
loop_
_atom_site_label
_atom_site_fract_x
_atom_site_fract_y
_atom_site_fract_z
_atom_site_occupancy
Sm1 0.0000 0.5873 0.0000 1
Zn1 0.0000 0.2372 0.5000 1
Ni1 0.0000 0.0000 0.0000 1
Ni2 0.3333 0.6667 0.5000 1



# Ni3Sn4 PBE relaxed
# **E_form**: -0.223 eV per atom
data_Ni3Sn4
_chemical_formula_sum 'Ni6 Sn8'
_space_group_name_H-M_alt 'C 1 2/m 1'
_space_group_IT_number 12
_cell_length_a 12.281
_cell_length_b 4.094
_cell_length_c 5.270
_cell_angle_alpha 90.00
_cell_angle_beta 105.19
_cell_angle_gamma 90.00
loop_
_space_group_symop_operation_xyz
'x,y,z'
'-x,-y,-z'
'-x,y,-z'
'x,-y,z'
'x+1/2,y+1/2,z'
'-x+1/2,-y+1/2,-z'
'-x+1/2,y+1/2,-z'
'x+1/2,-y+1/2,z'
loop_
_atom_site_label
_atom_site_fract_x
_atom_site_fract_y
_atom_site_fract_z
_atom_site_occupancy
Ni1 0.000 0.000 0.000 1
Ni2 0.216 0.000 0.336 1
Sn1 0.072 0.500 0.313 1
Sn2 0.172 0.000 0.812 1



# Ni7Sn8 PBE relaxed
# **E_form**: -0.227 eV per atom
data_Ni7Sn8
_chemical_formula_sum 'Ni7 Sn8'
_space_group_name_H-M_alt 'P 1 2/m 1'
_space_group_IT_number 10
_cell_length_a 5.258
_cell_length_b 4.088
_cell_length_c 12.462
_cell_angle_alpha 90.00
_cell_angle_beta 100.87
_cell_angle_gamma 90.00
loop_
_space_group_symop_operation_xyz
'x,y,z'
'-x,-y,-z'
'-x,y,-z'
'x,-y,z'
loop_
_atom_site_label
_atom_site_fract_x
_atom_site_fract_y
_atom_site_fract_z
_atom_site_occupancy
Ni1 0.000 0.000 0.000 1
Ni2 0.000 0.500 0.500 1
Ni3 0.128 0.000 0.791 1
Ni4 0.373 0.500 0.714 1
Ni5 0.500 0.500 0.500 1
Sn1 0.146 0.500 0.317 1
Sn2 0.242 0.500 0.930 1
Sn3 0.279 0.000 0.580 1
Sn4 0.358 0.000 0.168 1



# SrNiSn2 PBE relaxed
# **E_form**: -0.482 eV per atom
data_SrNiSn2
_chemical_formula_sum 'Sr4 Ni4 Sn8'
_space_group_name_H-M_alt 'C m c m'
_space_group_IT_number 63
_space_group_name_Hall '-C 2c 2'
_cell_length_a 4.649
_cell_length_b 18.890
_cell_length_c 4.593
_cell_angle_alpha 90.00
_cell_angle_beta 90.00
_cell_angle_gamma 90.00
loop_
_atom_site_label
_atom_site_fract_x
_atom_site_fract_y
_atom_site_fract_z
_atom_site_occupancy
Sr1 0.000 0.110 0.250 1
Ni1 0.000 0.319 0.250 1
Sn1 0.000 0.251 0.750 1
Sn2 0.000 0.453 0.250 1



# SrNiSn3 PBE relaxed
# **E_form**: -0.436 eV per atom
data_SrNiSn3
_chemical_formula_sum 'Sr2 Ni2 Sn6'
_space_group_name_H-M_alt 'I 4 m m'
_space_group_IT_number 107
_space_group_name_Hall 'I 4 -2'
_cell_length_a 4.790
_cell_length_b 4.790
_cell_length_c 10.978
_cell_angle_alpha 90.00
_cell_angle_beta 90.00
_cell_angle_gamma 90.00
loop_
_atom_site_label
_atom_site_fract_x
_atom_site_fract_y
_atom_site_fract_z
_atom_site_occupancy
Sr1 0.000 0.000 0.000 1
Ni1 0.000 0.000 0.341 1
Sn1 0.000 0.000 0.570 1
Sn2 0.000 0.500 0.250 1



Please write out number 12 again, unchanged.
# SrNiSn3 PBE relaxed
# **E_form**: -0.436 eV per atom
data_SrNiSn3
_chemical_formula_sum 'Sr2 Ni2 Sn6'
_space_group_name_H-M_alt 'I 4 m m'
_space_group_IT_number 107
_space_group_name_Hall 'I 4 -2'
_cell_length_a 4.790
_cell_length_b 4.790
_cell_length_c 10.978
_cell_angle_alpha 90.00
_cell_angle_beta 90.00
_cell_angle_gamma 90.00
loop_
_atom_site_label
_atom_site_fract_x
_atom_site_fract_y
_atom_site_fract_z
_atom_site_occupancy
Sr1 0.000 0.000 0.000 1
Ni1 0.000 0.000 0.341 1
Sn1 0.000 0.000 0.570 1
Sn2 0.000 0.500 0.250 1